A plane-wave DFT calculation with PBE-GGA was carried out for NdEu2SbO6 after structural relaxation.

Cell lengths 8.458, 8.458, 8.458 Å; angles 90.00, 90.00, 90.00 degrees
Fractional coordinates of all 40 atoms:
Nd1 0.000 0.000 0.000
Nd2 0.000 0.500 0.500
Nd3 0.500 0.000 0.500
Nd4 0.500 0.500 0.000
Eu1 0.250 0.250 0.250
Eu2 0.250 0.250 0.750
Eu3 0.250 0.750 0.250
Eu4 0.250 0.750 0.750
Eu5 0.750 0.250 0.250
Eu6 0.750 0.250 0.750
Eu7 0.750 0.750 0.250
Eu8 0.750 0.750 0.750
Sb1 0.000 0.000 0.500
Sb2 0.000 0.500 0.000
Sb3 0.500 0.000 0.000
Sb4 0.500 0.500 0.500
O1 0.038 0.546 0.769
O2 0.038 0.954 0.731
O3 0.046 0.231 0.538
O4 0.046 0.269 0.962
O5 0.231 0.538 0.046
O6 0.231 0.962 0.454
O7 0.269 0.538 0.454
O8 0.269 0.962 0.046
O9 0.454 0.231 0.962
O10 0.454 0.269 0.538
O11 0.462 0.546 0.731
O12 0.462 0.954 0.769
O13 0.538 0.046 0.231
O14 0.538 0.454 0.269
O15 0.546 0.731 0.462
O16 0.546 0.769 0.038
O17 0.731 0.038 0.954
O18 0.731 0.462 0.546
O19 0.769 0.038 0.546
O20 0.769 0.462 0.954
O21 0.954 0.731 0.038
O22 0.954 0.769 0.462
O23 0.962 0.046 0.269
O24 0.962 0.454 0.231

ΔH_f (0 K)   -2948.0 meV/atom
E (MP2020)   -8.8579 eV/atom
V   15.1 Å³ per atom